DFT (PBE) results for Mg9Mn2N8 after structural relaxation.

Lattice parameters (Å, degrees): 8.207 8.207 7.063 107.21 107.21 30.87
Element x y z (fractional)
Mg: 0.000 0.000 0.000
Mg: 0.093 0.093 0.460
Mg: 0.170 0.170 0.926
Mg: 0.331 0.331 0.760
Mg: 0.461 0.461 0.285
Mg: 0.539 0.539 0.715
Mg: 0.669 0.669 0.240
Mg: 0.830 0.830 0.074
Mg: 0.907 0.907 0.540
Mn: 0.290 0.290 0.297
Mn: 0.710 0.710 0.703
N: 0.035 0.035 0.749
N: 0.172 0.172 0.241
N: 0.321 0.321 0.079
N: 0.389 0.389 0.514
N: 0.611 0.611 0.486
N: 0.679 0.679 0.921
N: 0.828 0.828 0.759
N: 0.965 0.965 0.251

Summary:
- Size of the total moment: 4.0 μB per formula unit
- Crystal system: monoclinic



DFT (PBE) results for Zr2In5Ni after structural relaxation.

Lattice parameters (Å, degrees): 10.168 10.168 6.793 90.00 90.00 90.00
Element x y z (fractional)
Zr: 0.162 0.162 0.000
Zr: 0.199 0.199 0.500
Zr: 0.301 0.699 0.000
Zr: 0.338 0.662 0.500
Zr: 0.662 0.338 0.500
Zr: 0.699 0.301 0.000
Zr: 0.801 0.801 0.500
Zr: 0.838 0.838 0.000
In: 0.000 0.000 0.298
In: 0.000 0.000 0.702
In: 0.058 0.701 0.278
In: 0.058 0.701 0.722
In: 0.201 0.442 0.222
In: 0.201 0.442 0.778
In: 0.299 0.942 0.278
In: 0.299 0.942 0.722
In: 0.442 0.201 0.222
In: 0.442 0.201 0.778
In: 0.500 0.500 0.202
In: 0.500 0.500 0.798
In: 0.558 0.799 0.222
In: 0.558 0.799 0.778
In: 0.701 0.058 0.278
In: 0.701 0.058 0.722
In: 0.799 0.558 0.222
In: 0.799 0.558 0.778
In: 0.942 0.299 0.278
In: 0.942 0.299 0.722
Ni: 0.113 0.887 0.000
Ni: 0.387 0.387 0.500
Ni: 0.613 0.613 0.500
Ni: 0.887 0.113 0.000

Summary:
- Crystal system: tetragonal



DFT (PBE) results for ErCdAu after structural relaxation.

Lattice parameters (Å, degrees): 7.895 7.895 3.773 90.00 90.00 120.00
Element x y z (fractional)
Er: 0.000 0.597 0.000
Er: 0.403 0.403 0.000
Er: 0.597 0.000 0.000
Cd: 0.000 0.267 0.500
Cd: 0.267 0.000 0.500
Cd: 0.733 0.733 0.500
Au: 0.000 0.000 0.000
Au: 0.333 0.667 0.500
Au: 0.667 0.333 0.500

Summary:
- Crystal system: hexagonal



DFT (PBE) results for Cr3Ga2N4 after structural relaxation.

Lattice parameters (Å, degrees): 6.346 8.796 7.614 90.00 90.00 90.00
Element x y z (fractional)
Cr: 0.068 0.239 0.085
Cr: 0.068 0.261 0.415
Cr: 0.250 0.000 0.193
Cr: 0.250 0.500 0.307
Cr: 0.432 0.739 0.415
Cr: 0.432 0.761 0.085
Cr: 0.568 0.239 0.915
Cr: 0.568 0.261 0.585
Cr: 0.750 0.000 0.807
Cr: 0.750 0.500 0.693
Cr: 0.932 0.739 0.585
Cr: 0.932 0.761 0.915
Ga: 0.052 0.250 0.750
Ga: 0.250 0.000 0.598
Ga: 0.250 0.500 0.902
Ga: 0.448 0.750 0.750
Ga: 0.552 0.250 0.250
Ga: 0.750 0.000 0.402
Ga: 0.750 0.500 0.098
Ga: 0.948 0.750 0.250
N: 0.003 0.094 0.273
N: 0.003 0.406 0.227
N: 0.152 0.655 0.444
N: 0.152 0.845 0.056
N: 0.348 0.155 0.056
N: 0.348 0.345 0.444
N: 0.497 0.594 0.227
N: 0.497 0.906 0.273
N: 0.503 0.094 0.727
N: 0.503 0.406 0.773
N: 0.652 0.655 0.556
N: 0.652 0.845 0.944
N: 0.848 0.155 0.944
N: 0.848 0.345 0.556
N: 0.997 0.594 0.773
N: 0.997 0.906 0.727

Summary:
- Size of the total moment: 1.0 μB per formula unit
- Polymorph energy (0 for the lowest one): 0.30 eV/f.u.
- Crystal system: orthorhombic



DFT (PBE) results for K3Co after structural relaxation.

Lattice parameters (Å, degrees): 8.106 8.106 6.300 90.00 90.00 120.00
Element x y z (fractional)
K: 0.179 0.357 0.250
K: 0.179 0.821 0.250
K: 0.357 0.179 0.750
K: 0.643 0.821 0.250
K: 0.821 0.179 0.750
K: 0.821 0.643 0.750
Co: 0.333 0.667 0.750
Co: 0.667 0.333 0.250

Summary:
- Size of the total moment: 1.9 μB per formula unit
- Polymorph energy (0 for the lowest one): 0.00 eV/f.u.
- Crystal system: hexagonal



DFT (PBE) results for NaAl11O17 after structural relaxation.

Lattice parameters (Å, degrees): 11.792 11.792 11.792 27.73 27.73 27.73
Element x y z (fractional)
Na: 0.000 0.000 0.000
Al: 0.178 0.178 0.178
Al: 0.236 0.732 0.732
Al: 0.278 0.278 0.278
Al: 0.377 0.377 0.377
Al: 0.422 0.923 0.923
Al: 0.478 0.478 0.478
Al: 0.732 0.236 0.732
Al: 0.732 0.732 0.236
Al: 0.828 0.828 0.828
Al: 0.923 0.422 0.923
Al: 0.923 0.923 0.422
O: 0.018 0.018 0.549
O: 0.018 0.549 0.018
O: 0.108 0.637 0.637
O: 0.124 0.124 0.124
O: 0.226 0.226 0.738
O: 0.226 0.738 0.226
O: 0.328 0.328 0.328
O: 0.427 0.427 0.921
O: 0.427 0.921 0.427
O: 0.531 0.531 0.531
O: 0.549 0.018 0.018
O: 0.637 0.108 0.637
O: 0.637 0.637 0.108
O: 0.733 0.733 0.733
O: 0.738 0.226 0.226
O: 0.921 0.427 0.427
O: 0.925 0.925 0.925

Summary:
- Polymorph energy (0 for the lowest one): 0.11 eV/f.u.
- Crystal system: trigonal



Formation energy from the elements? In order: -0.7041; -0.2750; -0.6434; -0.2353; 0.7405; -3.3573 eV/atom.
Raw total energy? In order: -5.78; -4.85; -3.56; -7.67; -1.87; -7.32 eV/atom.